First-principles (PBE) data for an optimized crystal structure of Rb3As11, as listed in Materials Project. Values from VASP.

Quantum ESPRESSO input file:
```
&SYSTEM
  ibrav = 0, nat = 56, ntyp = 2
/
ATOMIC_SPECIES
Rb 85.47 Rb.upf
As 74.92 As.upf
CELL_PARAMETERS angstrom
11.167 0.000 0.000
0.000 11.676 0.000
0.000 0.000 15.419
ATOMIC_POSITIONS crystal
Rb 0.410 0.269 0.516
As 0.173 0.423 0.383
Rb 0.250 0.000 0.294
Rb 0.750 0.500 0.206
As 0.827 0.923 0.117
As 0.173 0.077 0.883
As 0.068 0.887 0.717
Rb 0.410 0.231 0.016
As 0.932 0.387 0.783
As 0.003 0.037 0.146
As 0.397 0.568 0.136
As 0.103 0.068 0.636
As 0.003 0.463 0.646
Rb 0.910 0.269 0.484
As 0.497 0.963 0.146
As 0.103 0.432 0.136
Rb 0.090 0.769 0.016
As 0.568 0.613 0.783
As 0.673 0.077 0.117
As 0.432 0.387 0.217
As 0.673 0.423 0.617
As 0.932 0.113 0.283
As 0.750 0.500 0.968
As 0.397 0.932 0.636
As 0.603 0.068 0.364
As 0.503 0.037 0.854
As 0.327 0.577 0.383
Rb 0.910 0.231 0.984
As 0.779 0.679 0.755
Rb 0.590 0.769 0.984
Rb 0.090 0.731 0.516
As 0.279 0.821 0.745
As 0.750 0.000 0.468
As 0.779 0.821 0.255
As 0.721 0.321 0.755
As 0.497 0.537 0.646
As 0.997 0.963 0.854
As 0.503 0.463 0.354
As 0.432 0.113 0.717
As 0.250 0.000 0.532
As 0.250 0.500 0.032
As 0.221 0.321 0.245
As 0.279 0.679 0.245
As 0.721 0.179 0.255
As 0.897 0.568 0.864
Rb 0.250 0.500 0.794
As 0.603 0.432 0.864
As 0.997 0.537 0.354
As 0.068 0.613 0.217
Rb 0.750 0.000 0.706
As 0.568 0.887 0.283
Rb 0.590 0.731 0.484
As 0.897 0.932 0.364
As 0.327 0.923 0.883
As 0.827 0.577 0.617
As 0.221 0.179 0.745
```

## Properties
* space-group type: No. 60
* uncorrected energy: -0.305 Ry/atom
* formation enthalpy at 0 K: -0.28 eV/atom
* crystal system: orthorhombic